No. 1
Density functional theory data (PBE) for a relaxed structure of K2MgZn4P4H2O16.

Values from the calculation:
ρ (g/cm3): 2.91
Crystal system: triclinic
Total DFT energy (no corrections) (eV per atom): -5.870
ΔE_f (eV per atom): -2.2325
Energy above the lowest structure with this stoichiometry (meV per atom): 0
Total moment (μB/f.u.): 0.0

```
data_K2MgZn4P4H2O16
_cell_length_a 5.2766
_cell_length_b 9.0922
_cell_length_c 9.6297
_cell_angle_alpha 75.08
_cell_angle_beta 80.23
_cell_angle_gamma 73.28
_symmetry_space_group_name_H-M 'P -1'
_symmetry_Int_Tables_number 2
_symmetry_space_group_name_Hall '-P 1'
loop_
_atom_site_label
_atom_site_type_symbol
_atom_site_fract_x
_atom_site_fract_y
_atom_site_fract_z
K1 K 0.1992 0.1942 0.3434
Mg1 Mg 0.5000 0.0000 0.0000
Zn1 Zn 0.1111 0.1128 0.7791
Zn2 Zn 0.2959 0.3856 0.8886
P1 P 0.1727 0.7387 0.9422
P2 P 0.4095 0.7482 0.3938
H1 H 0.4533 0.5680 0.6044
O1 O 0.0087 0.7184 0.0978
O2 O 0.0444 0.8997 0.8462
O3 O 0.1070 0.8022 0.3882
O4 O 0.1419 0.6100 0.8735
O5 O 0.4550 0.3886 0.6848
O6 O 0.4604 0.6811 0.5603
O7 O 0.4624 0.1120 0.6574
O8 O 0.4667 0.7285 0.9573
```

***

No. 2
Density functional theory data (PBE) for a relaxed structure of K2MgZn4P4H2O16.

Values from the calculation:
ρ (g/cm3): 2.69
Crystal system: triclinic
Total DFT energy (no corrections) (eV per atom): -5.853
ΔE_f (eV per atom): -2.2164
Energy above the lowest structure with this stoichiometry (meV per atom): 16
Total moment (μB/f.u.): 0.0

```
data_K2MgZn4P4H2O16
_cell_length_a 5.3778
_cell_length_b 9.0002
_cell_length_c 10.2944
_cell_angle_alpha 73.60
_cell_angle_beta 86.14
_cell_angle_gamma 74.79
_symmetry_space_group_name_H-M 'P 1'
_symmetry_Int_Tables_number 1
_symmetry_space_group_name_Hall 'P 1'
loop_
_atom_site_label
_atom_site_type_symbol
_atom_site_fract_x
_atom_site_fract_y
_atom_site_fract_z
K1 K 0.0000 0.0000 0.0000
K2 K 0.2854 0.6110 0.4735
Mg1 Mg 0.6617 0.7467 0.2145
Zn1 Zn 0.3583 0.3861 0.8552
Zn2 Zn 0.5768 0.6668 0.9373
Zn3 Zn 0.7175 0.9291 0.5161
Zn4 Zn 0.9342 0.2068 0.6078
P1 P 0.1248 0.5242 0.1000
P2 P 0.1731 0.0745 0.3665
P3 P 0.5001 0.0556 0.7750
P4 P 0.7947 0.5390 0.6901
H1 H 0.1301 0.3784 0.3165
H2 H 0.1608 0.2123 0.1513
O1 O 0.0457 0.2257 0.4172
O2 O 0.0639 0.9318 0.4407
O3 O 0.0821 0.5068 0.7242
O4 O 0.0943 0.1208 0.2096
O5 O 0.1984 0.4712 0.2569
O6 O 0.2121 0.0896 0.7411
O7 O 0.2256 0.3779 0.0424
O8 O 0.2430 0.6641 0.0304
O9 O 0.4659 0.0364 0.3728
O10 O 0.5480 0.1728 0.8505
O11 O 0.5989 0.8858 0.8701
O12 O 0.6293 0.5149 0.8257
O13 O 0.6699 0.0735 0.6424
O14 O 0.6906 0.7109 0.6018
O15 O 0.7471 0.4224 0.6149
O16 O 0.8252 0.5821 0.0939
```

***

No. 3
Density functional theory data (PBE) for a relaxed structure of K2MgZn4P4H2O16.

Values from the calculation:
ρ (g/cm3): 2.85
Crystal system: triclinic
Total DFT energy (no corrections) (eV per atom): -5.856
ΔE_f (eV per atom): -2.2191
Energy above the lowest structure with this stoichiometry (meV per atom): 13
Total moment (μB/f.u.): 0.0

```
data_K2MgZn4P4H2O16
_cell_length_a 5.4219
_cell_length_b 9.0436
_cell_length_c 9.6122
_cell_angle_alpha 75.77
_cell_angle_beta 78.37
_cell_angle_gamma 73.79
_symmetry_space_group_name_H-M 'P -1'
_symmetry_Int_Tables_number 2
_symmetry_space_group_name_Hall '-P 1'
loop_
_atom_site_label
_atom_site_type_symbol
_atom_site_fract_x
_atom_site_fract_y
_atom_site_fract_z
K1 K 0.2234 0.1817 0.3108
Mg1 Mg 0.0000 0.5000 0.5000
Zn1 Zn 0.1006 0.1162 0.7701
Zn2 Zn 0.3018 0.3881 0.8886
P1 P 0.1717 0.7420 0.9483
P2 P 0.4015 0.7560 0.3901
H1 H 0.4442 0.5862 0.6005
O1 O 0.0251 0.2661 0.9033
O2 O 0.0765 0.9003 0.8470
O3 O 0.1061 0.8195 0.3928
O4 O 0.1415 0.6110 0.8797
O5 O 0.4504 0.6984 0.5568
O6 O 0.4506 0.7227 0.9751
O7 O 0.4603 0.1105 0.6737
O8 O 0.4847 0.3877 0.6842
```

***

No. 4
Density functional theory data (PBE) for a relaxed structure of K2MgH8S2O12.

Values from the calculation:
ρ (g/cm3): 2.14
Crystal system: monoclinic
Total DFT energy (no corrections) (eV per atom): -5.456
ΔE_f (eV per atom): -1.8417
Energy above the lowest structure with this stoichiometry (meV per atom): 0

```
data_K2MgH8S2O12
_cell_length_a 10.0163
_cell_length_b 9.6206
_cell_length_c 11.8583
_cell_angle_alpha 90.00
_cell_angle_beta 95.61
_cell_angle_gamma 90.00
_symmetry_space_group_name_H-M 'P 1 21/c 1'
_symmetry_Int_Tables_number 14
_symmetry_space_group_name_Hall '-P 2ybc'
loop_
_atom_site_label
_atom_site_type_symbol
_atom_site_fract_x
_atom_site_fract_y
_atom_site_fract_z
K1 K 0.2396 0.2309 0.1660
K2 K 0.2591 0.7418 0.6669
Mg1 Mg 0.0000 0.0000 0.5000
Mg2 Mg 0.5000 0.0000 0.0000
H1 H 0.0338 0.2214 0.9415
H2 H 0.0464 0.7206 0.4464
H3 H 0.2644 0.5190 0.9244
H4 H 0.2712 0.6351 0.4105
H5 H 0.2724 0.1364 0.9193
H6 H 0.2738 0.0138 0.5543
H7 H 0.3891 0.7456 0.4200
H8 H 0.3967 0.2364 0.9202
S1 S 0.0458 0.0050 0.7957
S2 S 0.4784 0.0068 0.2908
O1 O 0.0122 0.7189 0.0053
O2 O 0.0581 0.0111 0.6719
O3 O 0.0953 0.5057 0.6797
O4 O 0.1146 0.6253 0.3420
O5 O 0.1176 0.1294 0.8497
O6 O 0.2089 0.0098 0.4855
O7 O 0.3590 0.6580 0.4538
O8 O 0.3599 0.1588 0.9634
O9 O 0.3768 0.0253 0.6825
O10 O 0.3936 0.5896 0.8534
O11 O 0.4383 0.5116 0.6668
O12 O 0.4526 0.1535 0.3220
```

***

No. 5
Density functional theory data (PBE) for a relaxed structure of K2MgH8S2O12.

Values from the calculation:
ρ (g/cm3): 1.93
Crystal system: monoclinic
Total DFT energy (no corrections) (eV per atom): -5.372
ΔE_f (eV per atom): -1.7568
Energy above the lowest structure with this stoichiometry (meV per atom): 85
Total moment (μB/f.u.): 0.0

```
data_K2MgH8S2O12
_cell_length_a 11.8496
_cell_length_b 10.9481
_cell_length_c 9.8050
_cell_angle_alpha 90.00
_cell_angle_beta 96.42
_cell_angle_gamma 90.00
_symmetry_space_group_name_H-M 'C 1 2 1'
_symmetry_Int_Tables_number 5
_symmetry_space_group_name_Hall 'C 2y'
loop_
_atom_site_label
_atom_site_type_symbol
_atom_site_fract_x
_atom_site_fract_y
_atom_site_fract_z
K1 K 0.1749 0.0000 0.2057
K2 K 0.1801 0.4286 0.2042
Mg1 Mg 0.0000 0.2042 0.5000
Mg2 Mg 0.0000 0.7047 0.5000
H1 H 0.0449 0.9460 0.5664
H2 H 0.0576 0.4599 0.5488
H3 H 0.0646 0.7040 0.2440
H4 H 0.0677 0.6875 0.7810
H5 H 0.0809 0.9308 0.8694
H6 H 0.0851 0.4813 0.8677
H7 H 0.0872 0.3373 0.8694
H8 H 0.0918 0.0732 0.8695
S1 S 0.2008 0.2114 0.4921
S2 S 0.2115 0.7096 0.0237
O1 O 0.0000 0.5131 0.5000
O2 O 0.0000 0.8938 0.5000
O3 O 0.0058 0.7143 0.7103
O4 O 0.0511 0.4085 0.8207
O5 O 0.0554 0.0039 0.8160
O6 O 0.1345 0.2211 0.3513
O7 O 0.1526 0.0990 0.5533
O8 O 0.1581 0.6268 0.9115
O9 O 0.1609 0.3170 0.5721
O10 O 0.1621 0.1991 0.9720
O11 O 0.1752 0.6717 0.1577
O12 O 0.1772 0.7060 0.5128
O13 O 0.1775 0.8382 0.9911
```

***

No. 6
Density functional theory data (PBE) for a relaxed structure of KMgH5S2O10.

Values from the calculation:
ρ (g/cm3): 2.15
Crystal system: triclinic
Total DFT energy (no corrections) (eV per atom): -4.849
ΔE_f (eV per atom): -1.1351
Total moment (μB/f.u.): 0.0

```
data_KMgH5S2O10
_cell_length_a 5.8221
_cell_length_b 6.2487
_cell_length_c 6.6501
_cell_angle_alpha 103.59
_cell_angle_beta 98.50
_cell_angle_gamma 100.64
_symmetry_space_group_name_H-M 'P 1'
_symmetry_Int_Tables_number 1
_symmetry_space_group_name_Hall 'P 1'
loop_
_atom_site_label
_atom_site_type_symbol
_atom_site_fract_x
_atom_site_fract_y
_atom_site_fract_z
K1 K 0.0000 0.0000 0.0000
Mg1 Mg 0.7212 0.5914 0.4307
H1 H 0.0848 0.1684 0.4401
H2 H 0.1391 0.8121 0.3713
H3 H 0.1557 0.6842 0.7157
H4 H 0.2879 0.3868 0.6802
H5 H 0.9880 0.4953 0.7820
S1 S 0.5683 0.4044 0.9570
S2 S 0.5895 0.0839 0.7075
O1 O 0.0038 0.8608 0.4632
O2 O 0.2769 0.7628 0.2227
O3 O 0.2867 0.3894 0.5308
O4 O 0.3097 0.3303 0.9667
O5 O 0.4812 0.8979 0.8043
O6 O 0.4966 0.7632 0.3121
O7 O 0.5162 0.3392 0.5002
O8 O 0.7384 0.3868 0.1484
O9 O 0.9385 0.0397 0.3754
O10 O 0.9869 0.6085 0.7021
```

***

Copy entry 6 word for word.
Density functional theory data (PBE) for a relaxed structure of KMgH5S2O10.

Values from the calculation:
ρ (g/cm3): 2.15
Crystal system: triclinic
Total DFT energy (no corrections) (eV per atom): -4.849
ΔE_f (eV per atom): -1.1351
Total moment (μB/f.u.): 0.0

```
data_KMgH5S2O10
_cell_length_a 5.8221
_cell_length_b 6.2487
_cell_length_c 6.6501
_cell_angle_alpha 103.59
_cell_angle_beta 98.50
_cell_angle_gamma 100.64
_symmetry_space_group_name_H-M 'P 1'
_symmetry_Int_Tables_number 1
_symmetry_space_group_name_Hall 'P 1'
loop_
_atom_site_label
_atom_site_type_symbol
_atom_site_fract_x
_atom_site_fract_y
_atom_site_fract_z
K1 K 0.0000 0.0000 0.0000
Mg1 Mg 0.7212 0.5914 0.4307
H1 H 0.0848 0.1684 0.4401
H2 H 0.1391 0.8121 0.3713
H3 H 0.1557 0.6842 0.7157
H4 H 0.2879 0.3868 0.6802
H5 H 0.9880 0.4953 0.7820
S1 S 0.5683 0.4044 0.9570
S2 S 0.5895 0.0839 0.7075
O1 O 0.0038 0.8608 0.4632
O2 O 0.2769 0.7628 0.2227
O3 O 0.2867 0.3894 0.5308
O4 O 0.3097 0.3303 0.9667
O5 O 0.4812 0.8979 0.8043
O6 O 0.4966 0.7632 0.3121
O7 O 0.5162 0.3392 0.5002
O8 O 0.7384 0.3868 0.1484
O9 O 0.9385 0.0397 0.3754
O10 O 0.9869 0.6085 0.7021
```

***

Which value of total DFT energy (no corrections) does entry 1 give? -5.870 eV per atom

***

Among the records above, which one has the highest ΔE_f? KMgH5S2O10